1.
A plane-wave DFT calculation with PBE was carried out for an optimized crystal structure of Er3TaO7.

Geometry as CIF:
```
data_Er3TaO7
_cell_length_a 10.5226
_cell_length_b 7.3477
_cell_length_c 7.5109
_cell_angle_alpha 90.00
_cell_angle_beta 90.00
_cell_angle_gamma 90.00
_symmetry_space_group_name_H-M 'C m c m'
_symmetry_Int_Tables_number 63
_symmetry_space_group_name_Hall '-C 2c 2'
loop_
_atom_site_label
_atom_site_type_symbol
_atom_site_fract_x
_atom_site_fract_y
_atom_site_fract_z
Er1 Er 0.0000 0.0000 0.0000
Er2 Er 0.2326 0.2793 0.2500
Ta1 Ta 0.0000 0.5000 0.0000
O1 O 0.0000 0.4291 0.2500
O2 O 0.1296 0.3038 0.5306
O3 O 0.1332 0.0169 0.2500
```

Output
polymorph energy (0 for the lowest one)	0.036	eV/atom
energy	-8.89	eV/atom
formation enthalpy at 0 K	-3.85	eV/atom

2.
A plane-wave DFT calculation with PBE was carried out for an optimized crystal structure of Er3TaO7.

Geometry as CIF:
```
data_Er3TaO7
_cell_length_a 7.4696
_cell_length_b 10.4883
_cell_length_c 7.4534
_cell_angle_alpha 90.00
_cell_angle_beta 90.00
_cell_angle_gamma 90.00
_symmetry_space_group_name_H-M 'C 2 2 21'
_symmetry_Int_Tables_number 20
loop_
_symmetry_equiv_pos_as_xyz
'x,y,z'
'-x,-y,z+1/2'
'x,-y,-z'
'-x,y,-z+1/2'
'x+1/2,y+1/2,z'
'-x+1/2,-y+1/2,z+1/2'
'x+1/2,-y+1/2,-z'
'-x+1/2,y+1/2,-z+1/2'
loop_
_atom_site_label
_atom_site_type_symbol
_atom_site_fract_x
_atom_site_fract_y
_atom_site_fract_z
Er1 Er 0.0256 0.0000 0.0000
Er2 Er 0.2323 0.2669 0.7532
Ta1 Ta 0.0023 0.5000 0.0000
O1 O 0.0000 0.1291 0.2500
O2 O 0.0000 0.1390 0.7500
O3 O 0.0000 0.4301 0.7500
O4 O 0.1882 0.3718 0.0383
O5 O 0.2046 0.3767 0.4703
```

Output
polymorph energy (0 for the lowest one)	0.006	eV/atom
maximum piezoelectric response	0.3	C/m2
energy	-8.92	eV/atom
formation enthalpy at 0 K	-3.88	eV/atom

3.
A plane-wave DFT calculation with PBE was carried out for an optimized crystal structure of Er2TeO2.

Geometry as CIF:
```
data_Er2TeO2
_cell_length_a 3.8780
_cell_length_b 3.8780
_cell_length_c 7.1990
_cell_angle_alpha 90.00
_cell_angle_beta 90.00
_cell_angle_gamma 120.00
_symmetry_space_group_name_H-M 'P -3 m 1'
_symmetry_Int_Tables_number 164
_symmetry_space_group_name_Hall '-P 3 2"'
loop_
_atom_site_label
_atom_site_type_symbol
_atom_site_fract_x
_atom_site_fract_y
_atom_site_fract_z
Er1 Er 0.3333 0.6667 0.3058
Te1 Te 0.0000 0.0000 0.0000
O1 O 0.3333 0.6667 0.6199
```

Output
energy	-7.33	eV/atom
formation enthalpy at 0 K	-3.17	eV/atom

4.
A plane-wave DFT calculation with PBE was carried out for an optimized crystal structure of Er2TeO2.

Geometry as CIF:
```
data_Er2TeO2
_cell_length_a 3.9015
_cell_length_b 3.9015
_cell_length_c 12.4122
_cell_angle_alpha 90.00
_cell_angle_beta 90.00
_cell_angle_gamma 90.00
_symmetry_space_group_name_H-M 'I 4/m m m'
_symmetry_Int_Tables_number 139
_symmetry_space_group_name_Hall '-I 4 2'
loop_
_atom_site_label
_atom_site_type_symbol
_atom_site_fract_x
_atom_site_fract_y
_atom_site_fract_z
Er1 Er 0.0000 0.0000 0.1636
Te1 Te 0.0000 0.0000 0.5000
O1 O 0.0000 0.5000 0.2500
```

Output
energy	-7.41	eV/atom
formation enthalpy at 0 K	-3.25	eV/atom

5.
A plane-wave DFT calculation with PBE was carried out for an optimized crystal structure of Er2TeO2.

Geometry as CIF:
```
data_Er2TeO2
_cell_length_a 3.8862
_cell_length_b 3.8862
_cell_length_c 14.3526
_cell_angle_alpha 90.00
_cell_angle_beta 90.00
_cell_angle_gamma 120.00
_symmetry_space_group_name_H-M 'P 63/m m c'
_symmetry_Int_Tables_number 194
_symmetry_space_group_name_Hall '-P 6c 2c'
loop_
_atom_site_label
_atom_site_type_symbol
_atom_site_fract_x
_atom_site_fract_y
_atom_site_fract_z
Er1 Er 0.3333 0.6667 0.0971
Te1 Te 0.0000 0.0000 0.2500
O1 O 0.3333 0.6667 0.5600
```

Output
energy	-7.34	eV/atom
formation enthalpy at 0 K	-3.18	eV/atom

6.
A plane-wave DFT calculation with PBE was carried out for an optimized crystal structure of Er14Ti10O41.

Geometry as CIF:
```
data_Er14Ti10O41
_cell_length_a 12.5994
_cell_length_b 7.2926
_cell_length_c 17.4529
_cell_angle_alpha 90.00
_cell_angle_beta 90.54
_cell_angle_gamma 90.00
_symmetry_space_group_name_H-M 'C 1 m 1'
_symmetry_Int_Tables_number 8
loop_
_symmetry_equiv_pos_as_xyz
'x,y,z'
'x,-y,z'
'x+1/2,y+1/2,z'
'x+1/2,-y+1/2,z'
loop_
_atom_site_label
_atom_site_type_symbol
_atom_site_fract_x
_atom_site_fract_y
_atom_site_fract_z
Er1 Er 0.0000 0.0000 0.0000
Er2 Er 0.0005 0.5000 0.5023
Er3 Er 0.0769 0.2422 0.8391
Er4 Er 0.1565 0.0000 0.6713
Er5 Er 0.1744 0.0000 0.1737
Er6 Er 0.1831 0.5000 0.6629
Er7 Er 0.2455 0.2461 0.5005
Er8 Er 0.3271 0.0000 0.8530
Er9 Er 0.3319 0.0000 0.3402
Er10 Er 0.3364 0.5000 0.8382
Er11 Er 0.4122 0.2364 0.1742
Ti1 Ti 0.0006 0.0000 0.5032
Ti2 Ti 0.0136 0.5000 0.0089
Ti3 Ti 0.0814 0.2495 0.3350
Ti4 Ti 0.1650 0.5000 0.1575
Ti5 Ti 0.2418 0.2739 0.0106
Ti6 Ti 0.3325 0.5000 0.3347
Ti7 Ti 0.4116 0.2393 0.6724
O1 O 0.0003 0.5000 0.8915
O2 O 0.0131 0.5000 0.1254
O3 O 0.0295 0.5000 0.3559
O4 O 0.0652 0.2162 0.4432
O5 O 0.0806 0.2720 0.7091
O6 O 0.0852 0.2582 0.9795
O7 O 0.0896 0.2712 0.2184
O8 O 0.1392 0.0000 0.3110
O9 O 0.1467 0.0000 0.5439
O10 O 0.1647 0.5000 0.0456
O11 O 0.1662 0.5000 0.5415
O12 O 0.1727 0.0000 0.7950
O13 O 0.1972 0.0000 0.0356
O14 O 0.2340 0.2961 0.3603
O15 O 0.2415 0.2720 0.1256
O16 O 0.2460 0.2653 0.8898
O17 O 0.2689 0.2194 0.6337
O18 O 0.3147 0.5000 0.2199
O19 O 0.3264 0.5000 0.9824
O20 O 0.3330 0.0000 0.2157
O21 O 0.3355 0.0000 0.4640
O22 O 0.3615 0.5000 0.6985
O23 O 0.3642 0.5000 0.4450
O24 O 0.3987 0.2182 0.7808
O25 O 0.4000 0.2028 0.0350
O26 O 0.4288 0.2921 0.3098
O27 O 0.4434 0.0000 0.6352
O28 O 0.4485 0.3073 0.5648
O29 O 0.4936 0.5000 0.8790
```

Output
energy	-8.56	eV/atom
formation enthalpy at 0 K	-3.67	eV/atom

7.
A plane-wave DFT calculation with PBE was carried out for an optimized crystal structure of Er18Ti14O55.

Geometry as CIF:
```
data_Er18Ti14O55
_cell_length_a 12.5084
_cell_length_b 7.2445
_cell_length_c 23.7690
_cell_angle_alpha 90.00
_cell_angle_beta 99.69
_cell_angle_gamma 90.00
_symmetry_space_group_name_H-M 'C 1 m 1'
_symmetry_Int_Tables_number 8
loop_
_symmetry_equiv_pos_as_xyz
'x,y,z'
'x,-y,z'
'x+1/2,y+1/2,z'
'x+1/2,-y+1/2,z'
loop_
_atom_site_label
_atom_site_type_symbol
_atom_site_fract_x
_atom_site_fract_y
_atom_site_fract_z
Er1 Er 0.0000 0.0000 0.0000
Er2 Er 0.9997 0.2500 0.2480
Er3 Er 0.0067 0.5000 0.5015
Er4 Er 0.1245 0.5000 0.3723
Er5 Er 0.1266 0.0000 0.8766
Er6 Er 0.2452 0.2578 0.4987
Er7 Er 0.2498 0.5000 0.2479
Er8 Er 0.2506 0.2505 0.0002
Er9 Er 0.2526 0.0000 0.7526
Er10 Er 0.3659 0.5000 0.6246
Er11 Er 0.3755 0.5000 0.1247
Er12 Er 0.3933 0.0000 0.6312
Er13 Er 0.4921 0.5000 0.4906
Er14 Er 0.4982 0.2545 0.7532
Ti1 Ti 0.1215 0.2401 0.6236
Ti2 Ti 0.1252 0.2500 0.1241
Ti3 Ti 0.1264 0.5000 0.8750
Ti4 Ti 0.1291 0.0000 0.3735
Ti5 Ti 0.2496 0.0000 0.2482
Ti6 Ti 0.2528 0.5000 0.7497
Ti7 Ti 0.3727 0.2423 0.3729
Ti8 Ti 0.3753 0.0000 0.1242
Ti9 Ti 0.3750 0.2501 0.8753
Ti10 Ti 0.4995 0.0000 0.9988
O1 O 0.0170 0.1902 0.3597
O2 O 0.0218 0.2930 0.8559
O3 O 0.0623 0.5000 0.6035
O4 O 0.0646 0.0000 0.1050
O5 O 0.0824 0.2223 0.5420
O6 O 0.0837 0.2944 0.0428
O7 O 0.0930 0.5000 0.2790
O8 O 0.0983 0.0000 0.7829
O9 O 0.1234 0.5000 0.9585
O10 O 0.1263 0.0000 0.2911
O11 O 0.1294 0.5000 0.7929
O12 O 0.1497 0.5000 0.4655
O13 O 0.1563 0.0000 0.4614
O14 O 0.1577 0.0000 0.9702
O15 O 0.1642 0.0000 0.6506
O16 O 0.1675 0.2061 0.2075
O17 O 0.1844 0.3066 0.7036
O18 O 0.1873 0.5000 0.1460
O19 O 0.2222 0.2205 0.3864
O20 O 0.2306 0.2955 0.8970
O21 O 0.2710 0.2058 0.1051
O22 O 0.2798 0.2303 0.5960
O23 O 0.3150 0.0000 0.8586
O24 O 0.3266 0.5000 0.3601
O25 O 0.3316 0.2831 0.7945
O26 O 0.3332 0.2082 0.2906
O27 O 0.3436 0.5000 0.0311
O28 O 0.3503 0.5000 0.5321
O29 O 0.3739 0.0000 0.2075
O30 O 0.3775 0.0000 0.0429
O31 O 0.3886 0.5000 0.7197
O32 O 0.4014 0.2326 0.4621
O33 O 0.4072 0.5000 0.2185
O34 O 0.4078 0.0000 0.7216
O35 O 0.4181 0.2063 0.9593
O36 O 0.4366 0.5000 0.8965
O37 O 0.4409 0.0000 0.3833
O38 O 0.4802 0.2067 0.1459
O39 O 0.4878 0.2805 0.6520
```

Output
energy	-8.67	eV/atom
formation enthalpy at 0 K	-3.76	eV/atom

8.
A plane-wave DFT calculation with PBE was carried out for an optimized crystal structure of ErTlO3.

Geometry as CIF:
```
data_ErTlO3
_cell_length_a 4.4060
_cell_length_b 4.4060
_cell_length_c 4.4060
_cell_angle_alpha 90.00
_cell_angle_beta 90.00
_cell_angle_gamma 90.00
_symmetry_space_group_name_H-M 'P m -3 m'
_symmetry_Int_Tables_number 221
_symmetry_space_group_name_Hall '-P 4 2 3'
loop_
_atom_site_label
_atom_site_type_symbol
_atom_site_fract_x
_atom_site_fract_y
_atom_site_fract_z
Er1 Er 0.0000 0.0000 0.0000
Tl1 Tl 0.5000 0.5000 0.5000
O1 O 0.0000 0.0000 0.5000
```

Output
energy	-5.94	eV/atom
formation enthalpy at 0 K	-2.00	eV/atom